First-principles (PBE-GGA) data for crystalline Tb3Sc at its relaxed geometry, as listed in the Materials Project database.

## Properties
Raw total energy = -20.08 eV for the cell shown
Energy relative to the elements = 39 meV/atom
Energy relative to the lowest polymorph listed for this composition = 0 meV per atom

Cell: 4.9304 4.9304 4.9304 Å, 90.00 90.00 90.00°
With the nearest neighbours (Å) after each atom.
Sites, in units of the cell vectors:
Tb1 0.0000 0.0000 0.5000  8 Tb 3.49, 4 Sc 3.49
Tb2 0.0000 0.5000 0.0000  8 Tb 3.49, 4 Sc 3.49
Tb3 0.5000 0.0000 0.0000  8 Tb 3.49, 4 Sc 3.49
Sc1 0.5000 0.5000 0.5000  12 Tb 3.49